Entry 1:
EuIn2Ni9 | PBE | optimized geometry

Lattice parameters (Å, degrees): 4.8820 8.3176 8.3176 90.00 90.00 90.00
Closest atoms and distances in Å follow each position.
Positions (direct):
Eu 0.0000 0.5000 0.5000  16 Ni 3.05-3.30, 4 In 3.29
Eu 0.0000 0.0000 0.0000  16 Ni 3.05-3.30, 4 In 3.29
In 0.0000 0.6246 0.1246  12 Ni 2.64-2.85, 1 In 2.93
In 0.0000 0.3754 0.8754  12 Ni 2.64-2.85, 1 In 2.93
In 0.0000 0.8754 0.6246  12 Ni 2.64-2.85, 1 In 2.93
In 0.0000 0.1246 0.3754  12 Ni 2.64-2.85, 1 In 2.93
Ni 0.7499 0.1764 0.6764  7 Ni 2.41-2.53, 1 In 2.64
Ni 0.7499 0.8236 0.3236  7 Ni 2.41-2.53, 1 In 2.64
Ni 0.7499 0.3236 0.1764  7 Ni 2.41-2.53, 1 In 2.64
Ni 0.7499 0.6764 0.8236  7 Ni 2.41-2.53, 1 In 2.64
Ni 0.2501 0.8236 0.3236  7 Ni 2.41-2.53, 1 In 2.64
Ni 0.2501 0.1764 0.6764  7 Ni 2.41-2.53, 1 In 2.64
Ni 0.2501 0.6764 0.8236  7 Ni 2.41-2.53, 1 In 2.64
Ni 0.2501 0.3236 0.1764  7 Ni 2.41-2.53, 1 In 2.64
Ni 0.5000 0.7099 0.5651  8 Ni 2.47-2.65
Ni 0.5000 0.2901 0.4349  8 Ni 2.47-2.65
Ni 0.5000 0.7901 0.0651  8 Ni 2.47-2.65
Ni 0.5000 0.2099 0.9349  8 Ni 2.47-2.65
Ni 0.5000 0.5651 0.2901  8 Ni 2.47-2.65
Ni 0.5000 0.4349 0.7099  8 Ni 2.47-2.65
Ni 0.5000 0.0651 0.2099  8 Ni 2.47-2.65
Ni 0.5000 0.9349 0.7901  8 Ni 2.47-2.65
Ni 0.5000 0.0000 0.5000  8 Ni 2.41-2.47
Ni 0.5000 0.5000 0.0000  8 Ni 2.41-2.47

Results
Its formation enthalpy at 0 K is -0.1482 eV/atom. Its total moment is 8.50 μB/f.u.

***

Entry 2:
EuInNi5 | PBE | optimized geometry

Lattice parameters (Å, degrees): 10.2915 10.2915 10.2915 27.50 27.50 27.50
Closest atoms and distances in Å follow each position.
Positions (direct):
Eu 0.0000 0.0000 0.0000  6 Ni 2.82
Eu 0.5000 0.5000 0.5000  12 Ni 2.98-3.26, 6 In 3.28
In 0.1106 0.1106 0.1106  10 Ni 2.62-2.91
In 0.8894 0.8894 0.8894  10 Ni 2.62-2.91
Ni 0.3338 0.3338 0.3338  6 Ni 2.44-2.47
Ni 0.5669 0.5669 0.0693  7 Ni 2.43-2.47
Ni 0.0693 0.5669 0.5669  7 Ni 2.43-2.47
Ni 0.5669 0.0693 0.5669  7 Ni 2.43-2.47
Ni 0.8010 0.8010 0.8010  3 Ni 2.43, 1 In 2.62
Ni 0.1990 0.1990 0.1990  3 Ni 2.43, 1 In 2.62
Ni 0.4331 0.9307 0.4331  7 Ni 2.43-2.47
Ni 0.9307 0.4331 0.4331  7 Ni 2.43-2.47
Ni 0.4331 0.4331 0.9307  7 Ni 2.43-2.47
Ni 0.6662 0.6662 0.6662  6 Ni 2.44-2.47

Results
Its formation enthalpy at 0 K is -0.1951 eV/atom.

***

Entry 3:
EuInO3 | PBE | optimized geometry

Lattice parameters (Å, degrees): 6.4828 6.4828 12.4595 90.00 90.00 120.00
Closest atoms and distances in Å follow each position.
Positions (direct):
Eu 0.6667 0.3333 0.9674  6 O 2.38-2.39
Eu 0.3333 0.6667 0.4674  6 O 2.38-2.39
Eu 0.6667 0.3333 0.4674  6 O 2.38-2.39
Eu 0.3333 0.6667 0.9674  6 O 2.38-2.39
Eu 0.0000 0.0000 0.9915  7 O 2.36-2.64
Eu 0.0000 0.0000 0.4915  7 O 2.36-2.64
In 0.6669 0.6669 0.7268  5 O 2.11-2.18
In 0.0000 0.3331 0.7268  5 O 2.11-2.18
In 0.3331 0.3331 0.2268  5 O 2.11-2.18
In 0.0000 0.6669 0.2268  5 O 2.11-2.18
In 0.3331 0.0000 0.7268  5 O 2.11-2.18
In 0.6669 0.0000 0.2268  5 O 2.11-2.18
O 0.6846 0.6846 0.8975  1 In 2.13, 1 Eu 2.36
O 0.0000 0.3154 0.8975  1 In 2.13, 1 Eu 2.36
O 0.3154 0.3154 0.3975  1 In 2.13, 1 Eu 2.36
O 0.0000 0.6846 0.3975  1 In 2.13, 1 Eu 2.36
O 0.3154 0.0000 0.8975  1 In 2.13, 1 Eu 2.36
O 0.6846 0.0000 0.3975  1 In 2.13, 1 Eu 2.36
O 0.6486 0.6486 0.5574  1 In 2.11
O 0.0000 0.3514 0.5574  1 In 2.11
O 0.3514 0.3514 0.0574  1 In 2.11
O 0.0000 0.6486 0.0574  1 In 2.11
O 0.3514 0.0000 0.5574  1 In 2.11
O 0.6486 0.0000 0.0574  1 In 2.11
O 0.0000 0.0000 0.7033  3 In 2.18
O 0.0000 0.0000 0.2033  3 In 2.18
O 0.6667 0.3333 0.7457  3 In 2.17
O 0.3333 0.6667 0.2457  3 In 2.17
O 0.6667 0.3333 0.2457  3 In 2.17
O 0.3333 0.6667 0.7457  3 In 2.17

Results
For the MP2020-corrected energy, the calculation gives -0.2995 Ha/atom. Its formation enthalpy at 0 K is -2.5788 eV/atom.

***

Entry 4:
Eu3InO | PBE | optimized geometry

Lattice parameters (Å, degrees): 4.9607 4.9607 4.9607 90.00 90.00 90.00
Closest atoms and distances in Å follow each position.
Positions (direct):
Eu 0.0000 0.5000 0.5000  2 O 2.48
Eu 0.5000 0.5000 0.0000  2 O 2.48
Eu 0.5000 0.0000 0.5000  2 O 2.48
In 0.0000 0.0000 0.0000  12 Eu 3.51
O 0.5000 0.5000 0.5000  6 Eu 2.48

Results
For the MP2020-corrected energy, the calculation gives -0.3369 Ha/atom. Its formation enthalpy at 0 K is -1.4732 eV/atom.

***

DFT total energy
In order: -139.12; -86.55; -232.11; -45.15
Unit: eV/cell